Entry 1:
# NaTh2F9 PBE-GGA optimized geometry
data_NaTh2F9
_chemical_formula_sum 'Na4 Th8 F36'
_symmetry_space_group_name_H-M 'I -4 2 m'
_symmetry_Int_Tables_number 121
_symmetry_space_group_name_Hall 'I -4 2'
_cell_length_a 8.866
_cell_length_b 8.866
_cell_length_c 8.699
_cell_angle_alpha 90.00
_cell_angle_beta 90.00
_cell_angle_gamma 90.00
loop_
_atom_site_label
_atom_site_fract_x
_atom_site_fract_y
_atom_site_fract_z
Na1 0.000 0.500 0.000
Th1 0.185 0.185 0.306
F1 0.000 0.000 0.275
F2 0.000 0.239 0.500
F3 0.051 0.303 0.802
F4 0.212 0.212 0.049
# ΔE_f: -4.25 eV/atom

=====

Entry 2:
# Al2O3 PBE-GGA optimized geometry
data_Al2O3
_chemical_formula_sum 'Al32 O48'
_symmetry_space_group_name_H-M 'C 1 2/m 1'
_symmetry_Int_Tables_number 12
_cell_length_a 9.754
_cell_length_b 5.679
_cell_length_c 13.675
_cell_angle_alpha 90.00
_cell_angle_beta 90.52
_cell_angle_gamma 90.00
loop_
_symmetry_equiv_pos_as_xyz
'x,y,z'
'-x,-y,-z'
'-x,y,-z'
'x,-y,z'
'x+1/2,y+1/2,z'
'-x+1/2,-y+1/2,-z'
'-x+1/2,y+1/2,-z'
'x+1/2,-y+1/2,z'
loop_
_atom_site_label
_atom_site_fract_x
_atom_site_fract_y
_atom_site_fract_z
Al1 0.005 0.000 0.123
Al2 0.082 0.245 0.340
Al3 0.155 0.500 0.160
Al4 0.163 0.000 0.661
Al5 0.165 0.500 0.548
Al6 0.172 0.500 0.793
Al7 0.250 0.250 0.000
O1 0.001 0.000 0.742
O2 0.009 0.500 0.252
O3 0.082 0.248 0.594
O4 0.097 0.252 0.087
O5 0.166 0.000 0.406
O6 0.166 0.500 0.413
O7 0.174 0.000 0.917
O8 0.179 0.500 0.921
O9 0.243 0.272 0.254
# ΔE_f: -3.38 eV/atom